{
  "formula": "RbPO3",
  "functional": "r2SCAN",
  "state": "optimized geometry",
  "cell": [[4.5178, 0.0000, 0.0000], [0.0000, 6.0976, 0.0000], [0.0000, 0.0000, 12.7585]],
  "species": ["Rb", "Rb", "Rb", "Rb", "P", "P", "P", "P", "O", "O", "O", "O", "O", "O", "O", "O", "O", "O", "O", "O"],
  "frac_coords": [[0.2280, 0.2500, 0.0954], [0.2720, 0.7500, 0.5954], [0.7280, 0.2500, 0.4046], [0.7720, 0.7500, 0.9046], [0.1775, 0.7500, 0.3249], [0.3225, 0.2500, 0.8249], [0.6775, 0.7500, 0.1751], [0.8225, 0.2500, 0.6751], [0.1645, 0.2500, 0.7119], [0.2347, 0.5398, 0.3800], [0.2347, 0.9602, 0.3800], [0.2653, 0.0398, 0.8800], [0.2653, 0.4602, 0.8800], [0.3355, 0.7500, 0.2119], [0.6645, 0.2500, 0.7881], [0.7347, 0.5398, 0.1200], [0.7347, 0.9602, 0.1200], [0.7653, 0.0398, 0.6200], [0.7653, 0.4602, 0.6200], [0.8355, 0.7500, 0.2881]],
  "sg": "Pnma (62)"
}

=====

{
  "formula": "RbPO3",
  "functional": "r2SCAN",
  "state": "optimized geometry",
  "cell": [[11.8633, 0.0000, 0.0000], [0.0000, 4.6065, 0.0000], [-6.4502, 0.0000, 13.0061]],
  "species": ["Rb", "Rb", "Rb", "Rb", "Rb", "Rb", "Rb", "Rb", "P", "P", "P", "P", "P", "P", "P", "P", "O", "O", "O", "O", "O", "O", "O", "O", "O", "O", "O", "O", "O", "O", "O", "O", "O", "O", "O", "O", "O", "O", "O", "O"],
  "frac_coords": [[0.0672, 0.2078, 0.3654], [0.0672, 0.2922, 0.8654], [0.4000, 0.7383, 0.0715], [0.4000, 0.7617, 0.5715], [0.6000, 0.2383, 0.4285], [0.6000, 0.2617, 0.9285], [0.9328, 0.7078, 0.1346], [0.9328, 0.7922, 0.6346], [0.2174, 0.1866, 0.1664], [0.2174, 0.3134, 0.6664], [0.3057, 0.6845, 0.3077], [0.3057, 0.8155, 0.8077], [0.6943, 0.1845, 0.1923], [0.6943, 0.3155, 0.6923], [0.7826, 0.6866, 0.3336], [0.7826, 0.8134, 0.8336], [0.0887, 0.2120, 0.1579], [0.0887, 0.2880, 0.6579], [0.1999, 0.7045, 0.3357], [0.1999, 0.7955, 0.8357], [0.2432, 0.2478, 0.5776], [0.2432, 0.2522, 0.0776], [0.2728, 0.6353, 0.7033], [0.2728, 0.8647, 0.2033], [0.3153, 0.1343, 0.7662], [0.3153, 0.3657, 0.2662], [0.4350, 0.7454, 0.8860], [0.4350, 0.7546, 0.3860], [0.5650, 0.2454, 0.6140], [0.5650, 0.2546, 0.1140], [0.6847, 0.6343, 0.7338], [0.6847, 0.8657, 0.2338], [0.7272, 0.1353, 0.7967], [0.7272, 0.3647, 0.2967], [0.7568, 0.7478, 0.9224], [0.7568, 0.7522, 0.4224], [0.8001, 0.2045, 0.1643], [0.8001, 0.2955, 0.6643], [0.9113, 0.7120, 0.3421], [0.9113, 0.7880, 0.8421]],
  "sg": "P2_1/c (14)"
}

=====

{
  "formula": "Rb2SiP4O13",
  "functional": "r2SCAN",
  "state": "optimized geometry",
  "cell": [[4.8541, 0.0000, 0.0000], [1.0690, 7.6362, 0.0000], [1.6021, 1.4322, 14.9510]],
  "species": ["Rb", "Rb", "Rb", "Rb", "Si", "Si", "P", "P", "P", "P", "P", "P", "P", "P", "O", "O", "O", "O", "O", "O", "O", "O", "O", "O", "O", "O", "O", "O", "O", "O", "O", "O", "O", "O", "O", "O", "O", "O", "O", "O"],
  "frac_coords": [[0.1701, 0.2459, 0.4880], [0.2272, 0.1910, 0.9702], [0.7728, 0.8090, 0.0298], [0.8299, 0.7541, 0.5120], [0.0459, 0.4417, 0.2408], [0.9541, 0.5583, 0.7592], [0.1765, 0.9051, 0.6926], [0.1825, 0.8216, 0.2111], [0.3963, 0.7091, 0.8513], [0.4848, 0.5893, 0.3372], [0.5152, 0.4107, 0.6628], [0.6037, 0.2909, 0.1487], [0.8175, 0.1784, 0.7889], [0.8235, 0.0949, 0.3074], [0.0148, 0.0946, 0.7090], [0.0382, 0.2231, 0.2900], [0.0537, 0.6617, 0.1929], [0.2043, 0.4810, 0.6713], [0.2220, 0.5718, 0.8272], [0.2312, 0.9467, 0.1330], [0.2948, 0.3671, 0.1547], [0.3040, 0.7814, 0.9374], [0.3139, 0.4540, 0.3095], [0.3236, 0.9194, 0.6028], [0.3733, 0.8657, 0.7707], [0.3843, 0.6532, 0.4247], [0.4572, 0.7507, 0.2579], [0.5428, 0.2493, 0.7421], [0.6157, 0.3468, 0.5753], [0.6267, 0.1343, 0.2293], [0.6764, 0.0806, 0.3972], [0.6861, 0.5460, 0.6905], [0.6960, 0.2186, 0.0626], [0.7052, 0.6329, 0.8453], [0.7688, 0.0533, 0.8670], [0.7780, 0.4282, 0.1728], [0.7957, 0.5190, 0.3287], [0.9463, 0.3382, 0.8071], [0.9618, 0.7769, 0.7100], [0.9852, 0.9054, 0.2910]],
  "sg": "P-1 (2)"
}

=====

{
  "formula": "RbTiPO5",
  "functional": "r2SCAN",
  "state": "optimized geometry",
  "cell": [[10.3916, 0.0000, 0.0000], [0.0000, 8.0332, 0.0000], [0.0000, 0.0000, 11.3447]],
  "species": ["Rb", "Rb", "Rb", "Rb", "Rb", "Rb", "Rb", "Rb", "Ti", "Ti", "Ti", "Ti", "Ti", "Ti", "Ti", "Ti", "P", "P", "P", "P", "P", "P", "P", "P", "O", "O", "O", "O", "O", "O", "O", "O", "O", "O", "O", "O", "O", "O", "O", "O", "O", "O", "O", "O", "O", "O", "O", "O", "O", "O", "O", "O", "O", "O", "O", "O", "O", "O", "O", "O", "O", "O", "O", "O"],
  "frac_coords": [[0.1263, 0.0588, 0.0000], [0.1653, 0.1472, 0.3453], [0.3347, 0.6472, 0.8453], [0.3737, 0.5588, 0.5000], [0.6263, 0.4412, 0.0000], [0.6653, 0.3528, 0.3453], [0.8347, 0.8528, 0.8453], [0.8737, 0.9412, 0.5000], [0.0932, 0.6713, 0.3140], [0.1716, 0.2302, 0.6795], [0.3284, 0.7302, 0.1795], [0.4068, 0.1713, 0.8140], [0.5932, 0.8287, 0.3140], [0.6716, 0.2698, 0.6795], [0.8284, 0.7698, 0.1795], [0.9068, 0.3287, 0.8140], [0.0066, 0.5189, 0.9956], [0.2469, 0.9001, 0.6368], [0.2531, 0.4001, 0.1368], [0.4934, 0.0189, 0.4956], [0.5066, 0.9811, 0.9956], [0.7469, 0.5999, 0.6368], [0.7531, 0.0999, 0.1368], [0.9934, 0.4811, 0.4956], [0.0111, 0.5417, 0.8587], [0.0365, 0.1832, 0.7813], [0.0865, 0.6514, 0.4778], [0.0957, 0.3904, 0.5775], [0.1111, 0.4082, 0.0684], [0.1111, 0.6925, 0.9973], [0.1453, 0.7487, 0.1160], [0.1564, 0.0322, 0.5745], [0.2258, 0.5043, 0.2556], [0.2319, 0.8176, 0.3042], [0.2681, 0.3176, 0.8042], [0.2742, 0.0043, 0.7556], [0.3436, 0.5322, 0.0745], [0.3547, 0.2487, 0.6160], [0.3889, 0.1925, 0.4973], [0.3889, 0.9082, 0.5684], [0.4043, 0.8904, 0.0775], [0.4135, 0.1514, 0.9778], [0.4635, 0.6832, 0.2813], [0.4889, 0.0417, 0.3587], [0.5111, 0.9583, 0.8587], [0.5365, 0.3168, 0.7813], [0.5865, 0.8486, 0.4778], [0.5957, 0.1096, 0.5775], [0.6111, 0.0918, 0.0684], [0.6111, 0.8075, 0.9973], [0.6453, 0.7513, 0.1160], [0.6564, 0.4678, 0.5745], [0.7258, 0.9957, 0.2556], [0.7319, 0.6824, 0.3042], [0.7681, 0.1824, 0.8042], [0.7742, 0.4957, 0.7556], [0.8436, 0.9678, 0.0745], [0.8547, 0.2513, 0.6160], [0.8889, 0.3075, 0.4973], [0.8889, 0.5918, 0.5684], [0.9043, 0.6096, 0.0775], [0.9135, 0.3486, 0.9778], [0.9635, 0.8168, 0.2813], [0.9889, 0.4583, 0.3587]],
  "sg": "Pna2_1 (33)"
}

=====

{
  "formula": "RbP2WO8",
  "functional": "r2SCAN",
  "state": "optimized geometry",
  "cell": [[5.0977, 0.0000, 0.0000], [0.0000, 11.9687, 0.0000], [-5.0035, 0.0000, 11.7468]],
  "species": ["Rb", "Rb", "Rb", "Rb", "P", "P", "P", "P", "P", "P", "P", "P", "W", "W", "W", "W", "O", "O", "O", "O", "O", "O", "O", "O", "O", "O", "O", "O", "O", "O", "O", "O", "O", "O", "O", "O", "O", "O", "O", "O", "O", "O", "O", "O", "O", "O", "O", "O"],
  "frac_coords": [[0.2008, 0.1239, 0.4624], [0.2008, 0.3761, 0.9624], [0.7992, 0.6239, 0.0376], [0.7992, 0.8761, 0.5376], [0.1026, 0.7046, 0.8349], [0.1026, 0.7954, 0.3349], [0.1177, 0.0712, 0.8738], [0.1177, 0.4288, 0.3738], [0.8823, 0.5712, 0.6262], [0.8823, 0.9288, 0.1262], [0.8974, 0.2046, 0.6651], [0.8974, 0.2954, 0.1651], [0.4148, 0.1078, 0.1732], [0.4148, 0.3922, 0.6732], [0.5852, 0.6078, 0.3268], [0.5852, 0.8922, 0.8268], [0.0633, 0.2031, 0.1360], [0.0633, 0.2969, 0.6360], [0.0810, 0.1816, 0.7989], [0.0810, 0.3184, 0.2989], [0.1411, 0.6014, 0.9027], [0.1411, 0.8986, 0.4027], [0.1809, 0.5349, 0.6406], [0.1809, 0.9651, 0.1406], [0.2541, 0.5165, 0.3266], [0.2541, 0.9835, 0.8266], [0.2955, 0.1099, 0.9921], [0.2955, 0.3901, 0.4921], [0.3873, 0.7500, 0.3385], [0.3873, 0.7500, 0.8385], [0.4775, 0.6063, 0.1814], [0.4775, 0.8937, 0.6814], [0.5225, 0.1063, 0.3186], [0.5225, 0.3937, 0.8186], [0.6127, 0.2500, 0.1615], [0.6127, 0.2500, 0.6615], [0.7045, 0.6099, 0.5079], [0.7045, 0.8901, 0.0079], [0.7459, 0.0165, 0.1734], [0.7459, 0.4835, 0.6734], [0.8191, 0.0349, 0.8594], [0.8191, 0.4651, 0.3594], [0.8589, 0.1014, 0.5973], [0.8589, 0.3986, 0.0973], [0.9190, 0.6816, 0.7011], [0.9190, 0.8184, 0.2011], [0.9367, 0.7031, 0.3640], [0.9367, 0.7969, 0.8640]],
  "sg": "P2_1/c (14)"
}

=====

{
  "formula": "Re2P2O11",
  "functional": "r2SCAN",
  "state": "optimized geometry",
  "cell": [[15.4333, 0.0000, 0.0000], [0.0000, 6.3349, 0.0000], [0.0000, 0.0000, 7.8678]],
  "species": ["Re", "Re", "Re", "Re", "Re", "Re", "Re", "Re", "P", "P", "P", "P", "P", "P", "P", "P", "O", "O", "O", "O", "O", "O", "O", "O", "O", "O", "O", "O", "O", "O", "O", "O", "O", "O", "O", "O", "O", "O", "O", "O", "O", "O", "O", "O", "O", "O", "O", "O", "O", "O", "O", "O", "O", "O", "O", "O", "O", "O", "O", "O"],
  "frac_coords": [[0.0304, 0.2500, 0.2415], [0.2140, 0.2500, 0.9490], [0.2860, 0.7500, 0.4490], [0.4696, 0.7500, 0.7415], [0.5304, 0.2500, 0.2585], [0.7140, 0.2500, 0.5510], [0.7860, 0.7500, 0.0510], [0.9696, 0.7500, 0.7585], [0.0669, 0.7500, 0.3603], [0.2388, 0.2500, 0.3771], [0.2612, 0.7500, 0.8771], [0.4331, 0.2500, 0.8603], [0.5669, 0.7500, 0.1397], [0.7388, 0.2500, 0.1229], [0.7612, 0.7500, 0.6229], [0.9331, 0.2500, 0.6397], [0.0328, 0.7500, 0.5410], [0.0346, 0.5605, 0.2603], [0.0346, 0.9395, 0.2603], [0.0577, 0.7500, 0.8859], [0.1103, 0.2500, 0.0663], [0.1400, 0.2500, 0.3902], [0.1654, 0.7500, 0.3662], [0.1677, 0.2500, 0.7547], [0.2233, 0.5594, 0.9718], [0.2233, 0.9406, 0.9718], [0.2324, 0.7500, 0.6920], [0.2676, 0.2500, 0.1920], [0.2767, 0.0594, 0.4718], [0.2767, 0.4406, 0.4718], [0.3323, 0.7500, 0.2547], [0.3346, 0.2500, 0.8662], [0.3600, 0.7500, 0.8902], [0.3897, 0.7500, 0.5663], [0.4423, 0.2500, 0.3859], [0.4654, 0.0605, 0.7603], [0.4654, 0.4395, 0.7603], [0.4672, 0.2500, 0.0410], [0.5328, 0.7500, 0.9590], [0.5346, 0.5605, 0.2397], [0.5346, 0.9395, 0.2397], [0.5577, 0.7500, 0.6141], [0.6103, 0.2500, 0.4337], [0.6400, 0.2500, 0.1098], [0.6654, 0.7500, 0.1338], [0.6677, 0.2500, 0.7453], [0.7233, 0.5594, 0.5282], [0.7233, 0.9406, 0.5282], [0.7324, 0.7500, 0.8080], [0.7676, 0.2500, 0.3080], [0.7767, 0.0594, 0.0282], [0.7767, 0.4406, 0.0282], [0.8323, 0.7500, 0.2453], [0.8346, 0.2500, 0.6338], [0.8600, 0.7500, 0.6098], [0.8897, 0.7500, 0.9337], [0.9423, 0.2500, 0.1141], [0.9654, 0.0605, 0.7397], [0.9654, 0.4395, 0.7397], [0.9672, 0.2500, 0.4590]],
  "sg": "Pnma (62)"
}

=====

{
  "formula": "RePO5",
  "functional": "r2SCAN",
  "state": "optimized geometry",
  "cell": [[6.1231, -6.4009, 0.0000], [6.1231, 6.4009, 0.0000], [-0.0115, 0.0000, 5.2782]],
  "species": ["Re", "Re", "Re", "Re", "P", "P", "P", "P", "O", "O", "O", "O", "O", "O", "O", "O", "O", "O", "O", "O", "O", "O", "O", "O", "O", "O", "O", "O"],
  "frac_coords": [[0.0525, 0.2466, 0.2490], [0.2466, 0.0525, 0.7490], [0.7534, 0.9475, 0.2510], [0.9475, 0.7534, 0.7510], [0.1532, 0.6088, 0.2340], [0.3912, 0.8468, 0.2660], [0.6088, 0.1532, 0.7340], [0.8468, 0.3912, 0.7660], [0.0627, 0.6739, 0.4439], [0.0797, 0.9203, 0.7500], [0.0951, 0.6428, 0.9715], [0.1553, 0.1803, 0.9754], [0.1764, 0.4413, 0.2666], [0.1803, 0.1553, 0.4754], [0.3212, 0.6788, 0.2500], [0.3261, 0.9373, 0.0561], [0.3572, 0.9049, 0.5285], [0.4413, 0.1764, 0.7666], [0.5587, 0.8236, 0.2334], [0.6428, 0.0951, 0.4715], [0.6739, 0.0627, 0.9439], [0.6788, 0.3212, 0.7500], [0.8197, 0.8447, 0.5246], [0.8236, 0.5587, 0.7334], [0.8447, 0.8197, 0.0246], [0.9049, 0.3572, 0.0285], [0.9203, 0.0797, 0.2500], [0.9373, 0.3261, 0.5561]],
  "sg": "C2/c (15)"
}

=====

{
  "formula": "ReSi2P3O15",
  "functional": "r2SCAN",
  "state": "optimized geometry",
  "cell": [[7.8854, 0.0000, 0.0000], [3.9290, 6.8369, 0.0000], [0.9168, 3.1270, 10.3722]],
  "species": ["Re", "Re", "Si", "Si", "Si", "Si", "P", "P", "P", "P", "P", "P", "O", "O", "O", "O", "O", "O", "O", "O", "O", "O", "O", "O", "O", "O", "O", "O", "O", "O", "O", "O", "O", "O", "O", "O", "O", "O", "O", "O", "O", "O"],
  "frac_coords": [[0.2318, 0.4692, 0.4259], [0.7682, 0.5308, 0.5741], [0.1614, 0.6789, 0.9737], [0.4831, 0.0691, 0.8467], [0.5169, 0.9309, 0.1533], [0.8386, 0.3211, 0.0263], [0.0836, 0.1220, 0.8267], [0.1654, 0.3167, 0.1744], [0.4783, 0.5675, 0.1722], [0.5217, 0.4325, 0.8278], [0.8346, 0.6833, 0.8256], [0.9164, 0.8780, 0.1733], [0.0000, 0.5000, 0.5000], [0.0269, 0.6444, 0.8748], [0.0382, 0.2368, 0.9277], [0.0459, 0.7526, 0.2959], [0.0752, 0.9279, 0.8777], [0.1383, 0.3735, 0.2978], [0.2562, 0.4214, 0.0724], [0.2830, 0.5977, 0.5049], [0.2990, 0.0678, 0.7927], [0.3038, 0.7145, 0.0742], [0.3175, 0.0822, 0.2065], [0.3587, 0.5966, 0.8767], [0.3809, 0.2218, 0.5122], [0.4251, 0.4614, 0.2974], [0.4499, 0.2995, 0.7919], [0.5000, 0.0000, 0.0000], [0.5501, 0.7005, 0.2081], [0.5749, 0.5386, 0.7026], [0.6191, 0.7782, 0.4878], [0.6413, 0.4034, 0.1233], [0.6825, 0.9178, 0.7935], [0.6962, 0.2855, 0.9258], [0.7010, 0.9322, 0.2073], [0.7170, 0.4023, 0.4951], [0.7438, 0.5786, 0.9276], [0.8617, 0.6265, 0.7022], [0.9248, 0.0721, 0.1223], [0.9541, 0.2474, 0.7041], [0.9618, 0.7632, 0.0723], [0.9731, 0.3556, 0.1252]],
  "sg": "P-1 (2)"
}

=====

{
  "formula": "P4S6O3",
  "functional": "r2SCAN",
  "state": "optimized geometry",
  "cell": [[6.6801, 0.0000, 0.0000], [0.0000, 12.4594, 0.0000], [-1.8241, 0.0000, 7.0878]],
  "species": ["P", "P", "P", "P", "P", "P", "P", "P", "S", "S", "S", "S", "S", "S", "S", "S", "S", "S", "S", "S", "O", "O", "O", "O", "O", "O"],
  "frac_coords": [[0.1801, 0.1317, 0.3187], [0.1801, 0.3683, 0.3187], [0.2047, 0.7500, 0.5398], [0.2973, 0.2500, 0.6777], [0.7027, 0.7500, 0.3223], [0.7953, 0.2500, 0.4602], [0.8199, 0.6317, 0.6813], [0.8199, 0.8683, 0.6813], [0.0074, 0.2500, 0.7305], [0.1291, 0.6138, 0.6850], [0.1291, 0.8862, 0.6850], [0.2889, 0.0200, 0.2004], [0.2889, 0.4800, 0.2004], [0.4825, 0.7500, 0.1047], [0.5175, 0.2500, 0.8953], [0.7111, 0.5200, 0.7996], [0.7111, 0.9800, 0.7996], [0.8709, 0.1138, 0.3150], [0.8709, 0.3862, 0.3150], [0.9926, 0.7500, 0.2695], [0.1983, 0.2500, 0.2335], [0.2981, 0.1501, 0.5375], [0.2981, 0.3499, 0.5375], [0.7019, 0.6501, 0.4625], [0.7019, 0.8499, 0.4625], [0.8017, 0.7500, 0.7665]],
  "sg": "P2_1/m (11)"
}

=====

| no. | magnetic moment (μB/f.u.) | formation enthalpy at 0 K (meV/atom) |
| --- | --- | --- |
| 1 | 0.0 | -2455.7 |
| 2 | 0.0 | -2464.8 |
| 3 | 0.0 | -2508.6 |
| 4 | 0.0 | -2332.1 |
| 5 | 1.0 | -2368.3 |
| 6 | 0.0 | -1946.5 |
| 7 | 0.2 | -1987.0 |
| 8 | 0.0 | -2367.6 |
| 9 | 0.0 | -837.3 |